Here is a relaxed SrPd2 crystal from the Materials Project database. Energies are from r²SCAN.

Results
DFT total energy, eV for the cell shown: -125.999

Unit cell a=5.566 b=5.566 c=5.566 alpha=60.00 beta=60.00 gamma=60.00
Fractional positions:
Pd 0.500 0.500 0.000
Pd 0.500 0.000 0.500
Pd 0.000 0.500 0.500
Pd 0.500 0.500 0.500
Sr 0.875 0.875 0.875
Sr 0.125 0.125 0.125